(1)
The following is a DFT calculation (PBE-GGA) of an optimized crystal structure of Ba3SrTl2Cu2HgO10.

Structure (POSCAR):
```
Ba3SrTl2Cu2HgO10
1.0
-1.9503 1.9503 21.4895
1.9503 -1.9503 21.4895
1.9503 1.9503 -21.4895
Ba Sr Tl Cu Hg O
3 1 2 2 1 10
direct
0.0000 0.0000 0.0000 Ba
0.0898 0.0898 0.0000 Ba
0.8617 0.8617 0.0000 Ba
0.7758 0.7758 0.0000 Sr
0.2091 0.2091 0.0000 Tl
0.6556 0.6556 0.0000 Tl
0.3152 0.3152 0.0000 Cu
0.5454 0.5454 0.0000 Cu
0.4312 0.4312 0.0000 Hg
0.0443 0.5443 0.5000 O
0.1601 0.1601 0.0000 O
0.2567 0.2567 0.0000 O
0.3163 0.8163 0.5000 O
0.3843 0.3843 0.0000 O
0.4780 0.4780 0.0000 O
0.5443 0.0443 0.5000 O
0.6081 0.6081 0.0000 O
0.7041 0.7041 0.0000 O
0.8163 0.3163 0.5000 O
```

- ΔE_f: -1.87 eV/atom
- Density: 7.090 Mg/m³
- Calculated volume: 327.0 Å³/f.u.
- Symmetry: I4mm (107)

(2)
The following is a DFT calculation (PBE-GGA) of an optimized crystal structure of MgTe.

Structure (POSCAR):
```
MgTe
1.0
0.0000 3.2563 3.2563
3.2563 0.0000 3.2563
3.2563 3.2563 0.0000
Mg Te
1 1
direct
0.0000 0.0000 0.0000 Mg
0.2500 0.2500 0.2500 Te
```

- ΔE_f: -1.09 eV/atom
- Density: 3.653 Mg/m³
- Maximum piezoelectric response: 0.14 C/m²
- Calculated volume: 69.1 Å³/f.u.
- Symmetry: F-43m (216)

The highest ΔE_f belongs to which entry?
MgTe

Look up the calculated volume of the first one.
327.0 Å³/f.u.

Which value of ΔE_f does entry 2 give?
-1.09 eV/atom

Look up the ΔE_f of the first one.
-1.87 eV/atom